No. 1
## Mn3Sn (GGA-PBE)

Data for Mn3Sn after structural relaxation.

Summary:
DFT total energy: -7.699 eV per atom
Size of the total moment: 17.95 Bohr magnetons per cell
Space-group type: P6_3/mmc, No. 194
Energy of formation: 0.175 eV/atom

Geometry as POSCAR:
```
Mn3Sn
1.0
5.591 0.000 0.000
-2.796 4.842 0.000
0.000 0.000 4.503
Mn Sn
6 2
direct
0.162 0.324 0.250 Mn
0.162 0.838 0.250 Mn
0.324 0.162 0.750 Mn
0.676 0.838 0.250 Mn
0.838 0.162 0.750 Mn
0.838 0.676 0.750 Mn
0.333 0.667 0.750 Sn
0.667 0.333 0.250 Sn
```

***

No. 2
## CeBeAl3 (GGA-PBE)

Data for CeBeAl3 after structural relaxation.

Summary:
DFT total energy: -4.496 eV per atom
Size of the total moment: 1.84 Bohr magnetons per cell
Space-group type: I4mm, No. 107
Energy of formation: -0.314 eV/atom

Geometry as POSCAR:
```
CeBeAl3
1.0
4.153 0.000 0.000
0.000 4.153 0.000
0.000 0.000 10.644
Ce Be Al
2 2 6
direct
0.000 0.000 0.000 Ce
0.500 0.500 0.500 Ce
0.000 0.000 0.383 Be
0.500 0.500 0.883 Be
0.000 0.000 0.603 Al
0.000 0.500 0.262 Al
0.000 0.500 0.762 Al
0.500 0.000 0.262 Al
0.500 0.000 0.762 Al
0.500 0.500 0.103 Al
```

***

No. 3
## LiMg6C (GGA-PBE)

Data for LiMg6C after structural relaxation.

Summary:
DFT total energy: -2.339 eV per atom
Size of the total moment: 0.00 Bohr magnetons per cell
Space-group type: Amm2, No. 38
Energy of formation: 0.254 eV/atom
E above lowest polymorph: 0 meV/atom

Geometry as POSCAR:
```
LiMg6C
1.0
3.559 0.000 0.000
0.000 8.537 0.000
0.000 0.000 10.096
Li Mg C
2 12 2
direct
0.000 0.000 0.000 Li
0.000 0.500 0.500 Li
0.000 0.000 0.488 Mg
0.000 0.163 0.770 Mg
0.000 0.337 0.270 Mg
0.000 0.500 0.988 Mg
0.000 0.663 0.270 Mg
0.000 0.837 0.770 Mg
0.500 0.000 0.253 Mg
0.500 0.226 0.002 Mg
0.500 0.274 0.502 Mg
0.500 0.500 0.753 Mg
0.500 0.726 0.502 Mg
0.500 0.774 0.002 Mg
0.500 0.000 0.873 C
0.500 0.500 0.373 C
```

***

No. 4
## Tb2Mn12P7 (GGA-PBE)

Data for Tb2Mn12P7 after structural relaxation.

Summary:
DFT total energy: -8.187 eV per atom
Size of the total moment: 16.06 Bohr magnetons per cell
Space-group type: P-6, No. 174
Energy of formation: -0.706 eV/atom

Geometry as POSCAR:
```
Tb2Mn12P7
1.0
9.315 0.000 0.000
-4.657 8.067 0.000
0.000 0.000 3.605
Tb Mn P
2 12 7
direct
0.000 0.000 0.000 Tb
0.333 0.667 0.500 Tb
0.044 0.759 0.500 Mn
0.102 0.379 0.000 Mn
0.241 0.284 0.500 Mn
0.277 0.898 0.000 Mn
0.439 0.230 0.000 Mn
0.512 0.057 0.500 Mn
0.546 0.488 0.500 Mn
0.621 0.723 0.000 Mn
0.716 0.956 0.500 Mn
0.770 0.209 0.000 Mn
0.791 0.561 0.000 Mn
0.943 0.454 0.500 Mn
0.075 0.616 0.000 P
0.258 0.043 0.500 P
0.384 0.458 0.000 P
0.542 0.925 0.000 P
0.667 0.333 0.500 P
0.785 0.742 0.500 P
0.957 0.215 0.500 P
```

***

No. 5
## K3Na (GGA-PBE)

Data for K3Na after structural relaxation.

Summary:
DFT total energy: -1.136 eV per atom
Space-group type: Fm-3m, No. 225
Energy of formation: 0.028 eV/atom

Geometry as POSCAR:
```
K3Na
1.0
9.990 0.000 0.000
0.000 9.990 0.000
0.000 0.000 9.990
K Na
12 4
direct
0.000 0.000 0.000 K
0.000 0.500 0.500 K
0.250 0.250 0.250 K
0.250 0.250 0.750 K
0.250 0.750 0.250 K
0.250 0.750 0.750 K
0.500 0.000 0.500 K
0.500 0.500 0.000 K
0.750 0.250 0.250 K
0.750 0.250 0.750 K
0.750 0.750 0.250 K
0.750 0.750 0.750 K
0.000 0.000 0.500 Na
0.000 0.500 0.000 Na
0.500 0.000 0.000 Na
0.500 0.500 0.500 Na
```

***

No. 6
## Tl3PbBr5 (GGA-PBE)

Data for Tl3PbBr5 after structural relaxation.

Summary:
DFT total energy: -2.999 eV per atom
Space-group type: P4_1, No. 76
Energy of formation: -1.186 eV/atom
E above lowest polymorph: 8 meV/atom

Geometry as POSCAR:
```
Tl3PbBr5
1.0
8.998 0.000 0.000
0.000 8.998 0.000
0.000 0.000 15.674
Tl Pb Br
12 4 20
direct
0.007 0.188 0.000 Tl
0.118 0.318 0.574 Tl
0.174 0.363 0.264 Tl
0.188 0.993 0.750 Tl
0.318 0.882 0.324 Tl
0.363 0.826 0.014 Tl
0.637 0.174 0.514 Tl
0.682 0.118 0.824 Tl
0.812 0.007 0.250 Tl
0.826 0.637 0.764 Tl
0.882 0.682 0.074 Tl
0.993 0.812 0.500 Tl
0.304 0.485 0.841 Pb
0.485 0.696 0.591 Pb
0.515 0.304 0.091 Pb
0.696 0.515 0.341 Pb
0.019 0.329 0.797 Br
0.025 0.828 0.903 Br
0.172 0.025 0.153 Br
0.177 0.647 0.671 Br
0.203 0.494 0.051 Br
0.329 0.981 0.547 Br
0.353 0.177 0.921 Br
0.361 0.517 0.453 Br
0.483 0.361 0.703 Br
0.494 0.797 0.801 Br
0.506 0.203 0.301 Br
0.517 0.639 0.203 Br
0.639 0.483 0.953 Br
0.647 0.823 0.421 Br
0.671 0.019 0.047 Br
0.797 0.506 0.551 Br
0.823 0.353 0.171 Br
0.828 0.975 0.653 Br
0.975 0.172 0.403 Br
0.981 0.671 0.297 Br
```

***

No. 7
## KZnP (GGA-PBE)

Data for KZnP after structural relaxation.

Summary:
DFT total energy: -3.053 eV per atom
Space-group type: P6_3/mmc, No. 194
Energy of formation: -0.458 eV/atom

Geometry as POSCAR:
```
KZnP
1.0
4.106 0.000 0.000
-2.053 3.556 0.000
0.000 0.000 10.293
K Zn P
2 2 2
direct
0.000 0.000 0.000 K
0.000 0.000 0.500 K
0.333 0.667 0.250 Zn
0.667 0.333 0.750 Zn
0.333 0.667 0.750 P
0.667 0.333 0.250 P
```

***

No. 8
## SrLa7TiGa7O24 (GGA-PBE)

Data for SrLa7TiGa7O24 after structural relaxation.

Summary:
DFT total energy: -7.370 eV per atom
Size of the total moment: 0.02 Bohr magnetons per cell
Space-group type: C2, No. 5
Energy of formation: -3.180 eV/atom
E above lowest polymorph: 0 meV/atom

Geometry as POSCAR:
```
SrLa7TiGa7O24
1.0
4.782 -2.796 0.000
4.782 2.796 0.000
-3.519 0.000 36.505
Sr La Ti Ga O
2 14 2 14 48
direct
0.188 0.188 0.063 Sr
0.812 0.812 0.937 Sr
0.001 0.999 0.500 La
0.063 0.062 0.687 La
0.125 0.124 0.874 La
0.251 0.249 0.250 La
0.313 0.312 0.437 La
0.376 0.374 0.625 La
0.439 0.436 0.813 La
0.500 0.500 0.000 La
0.564 0.561 0.187 La
0.626 0.624 0.375 La
0.688 0.687 0.563 La
0.751 0.749 0.750 La
0.876 0.875 0.126 La
0.938 0.937 0.313 La
0.157 0.156 0.968 Ti
0.844 0.843 0.032 Ti
0.032 0.030 0.594 Ga
0.094 0.093 0.781 Ga
0.217 0.219 0.156 Ga
0.282 0.280 0.344 Ga
0.345 0.343 0.531 Ga
0.407 0.406 0.719 Ga
0.471 0.465 0.906 Ga
0.535 0.529 0.094 Ga
0.594 0.593 0.281 Ga
0.657 0.655 0.469 Ga
0.720 0.718 0.656 Ga
0.781 0.783 0.844 Ga
0.907 0.906 0.219 Ga
0.970 0.968 0.406 Ga
0.020 0.467 0.007 O
0.022 0.586 0.696 O
0.039 0.603 0.179 O
0.042 0.475 0.492 O
0.063 0.937 0.000 O
0.123 0.252 0.562 O
0.147 0.713 0.069 O
0.150 0.583 0.383 O
0.164 0.728 0.554 O
0.166 0.601 0.867 O
0.191 0.059 0.375 O
0.260 0.364 0.939 O
0.272 0.836 0.446 O
0.275 0.708 0.758 O
0.287 0.853 0.931 O
0.292 0.725 0.242 O
0.316 0.184 0.750 O
0.373 0.502 0.313 O
0.397 0.961 0.821 O
0.399 0.834 0.133 O
0.414 0.978 0.304 O
0.417 0.850 0.617 O
0.444 0.310 0.125 O
0.498 0.627 0.687 O
0.522 0.086 0.195 O
0.525 0.958 0.508 O
0.533 0.980 0.993 O
0.539 0.103 0.679 O
0.566 0.434 0.500 O
0.636 0.740 0.061 O
0.645 0.092 0.882 O
0.647 0.211 0.571 O
0.666 0.224 0.054 O
0.667 0.100 0.367 O
0.690 0.556 0.875 O
0.748 0.877 0.438 O
0.775 0.208 0.258 O
0.776 0.334 0.946 O
0.789 0.353 0.429 O
0.792 0.225 0.742 O
0.816 0.684 0.250 O
0.874 0.002 0.813 O
0.897 0.461 0.321 O
0.900 0.333 0.633 O
0.908 0.355 0.118 O
0.914 0.478 0.805 O
0.941 0.809 0.625 O
0.998 0.126 0.187 O
```

***

No. 9
## Ca4MgAl3 (GGA-PBE)

Data for Ca4MgAl3 after structural relaxation.

Summary:
DFT total energy: -2.823 eV per atom
Space-group type: Pbcm, No. 57
Energy of formation: -0.215 eV/atom

Geometry as POSCAR:
```
Ca4MgAl3
1.0
6.172 0.000 0.000
0.000 24.183 0.000
0.000 0.000 5.855
Ca Mg Al
16 4 12
direct
0.001 0.045 0.250 Ca
0.001 0.455 0.750 Ca
0.196 0.710 0.750 Ca
0.196 0.790 0.250 Ca
0.248 0.122 0.750 Ca
0.248 0.378 0.250 Ca
0.428 0.641 0.250 Ca
0.428 0.859 0.750 Ca
0.572 0.141 0.250 Ca
0.572 0.359 0.750 Ca
0.752 0.622 0.750 Ca
0.752 0.878 0.250 Ca
0.804 0.210 0.750 Ca
0.804 0.290 0.250 Ca
0.999 0.545 0.250 Ca
0.999 0.955 0.750 Ca
0.500 0.000 0.000 Mg
0.500 0.000 0.500 Mg
0.500 0.500 0.000 Mg
0.500 0.500 0.500 Mg
0.078 0.176 0.250 Al
0.078 0.324 0.750 Al
0.247 0.576 0.750 Al
0.247 0.924 0.250 Al
0.320 0.250 0.000 Al
0.320 0.250 0.500 Al
0.680 0.750 0.000 Al
0.680 0.750 0.500 Al
0.753 0.076 0.750 Al
0.753 0.424 0.250 Al
0.922 0.676 0.250 Al
0.922 0.824 0.750 Al
```

***

No. 10
## Mg10Si3H4O18 (GGA-PBE)

Data for Mg10Si3H4O18 after structural relaxation.

Summary:
DFT total energy: -6.325 eV per atom
Size of the total moment: 0.00 Bohr magnetons per cell
Space-group type: Pnnm, No. 58
Energy of formation: -2.823 eV/atom

Geometry as POSCAR:
```
Mg10Si3H4O18
1.0
5.164 0.000 0.000
0.000 14.134 0.000
0.000 0.000 8.828
Mg Si H O
20 6 8 36
direct
0.000 0.000 0.156 Mg
0.000 0.000 0.844 Mg
0.000 0.500 0.181 Mg
0.000 0.500 0.819 Mg
0.155 0.178 0.324 Mg
0.155 0.178 0.676 Mg
0.163 0.327 0.000 Mg
0.337 0.827 0.500 Mg
0.345 0.678 0.176 Mg
0.345 0.678 0.824 Mg
0.500 0.000 0.319 Mg
0.500 0.000 0.681 Mg
0.500 0.500 0.344 Mg
0.500 0.500 0.656 Mg
0.655 0.322 0.176 Mg
0.655 0.322 0.824 Mg
0.663 0.173 0.500 Mg
0.837 0.673 0.000 Mg
0.845 0.822 0.324 Mg
0.845 0.822 0.676 Mg
0.000 0.000 0.500 Si
0.018 0.624 0.500 Si
0.482 0.124 0.000 Si
0.500 0.500 0.000 Si
0.518 0.876 0.000 Si
0.982 0.376 0.500 Si
0.081 0.810 0.100 H
0.081 0.810 0.900 H
0.419 0.310 0.400 H
0.419 0.310 0.600 H
0.581 0.690 0.400 H
0.581 0.690 0.600 H
0.919 0.190 0.100 H
0.919 0.190 0.900 H
0.013 0.742 0.500 O
0.023 0.750 0.161 O
0.023 0.750 0.839 O
0.145 0.927 0.356 O
0.145 0.927 0.644 O
0.171 0.585 0.347 O
0.171 0.585 0.653 O
0.196 0.579 0.000 O
0.209 0.912 0.000 O
0.291 0.412 0.500 O
0.304 0.079 0.500 O
0.329 0.085 0.153 O
0.329 0.085 0.847 O
0.355 0.427 0.144 O
0.355 0.427 0.856 O
0.477 0.250 0.339 O
0.477 0.250 0.661 O
0.487 0.242 0.000 O
0.513 0.758 0.000 O
0.523 0.750 0.339 O
0.523 0.750 0.661 O
0.645 0.573 0.144 O
0.645 0.573 0.856 O
0.671 0.915 0.153 O
0.671 0.915 0.847 O
0.696 0.921 0.500 O
0.709 0.588 0.500 O
0.791 0.088 0.000 O
0.804 0.421 0.000 O
0.829 0.415 0.347 O
0.829 0.415 0.653 O
0.855 0.073 0.356 O
0.855 0.073 0.644 O
0.977 0.250 0.161 O
0.977 0.250 0.839 O
0.987 0.258 0.500 O
```

***

No. 11
## FeCl3 (GGA-PBE)

Data for FeCl3 after structural relaxation.

Summary:
DFT total energy: -4.208 eV per atom
Space-group type: P312, No. 149
Energy of formation: -1.165 eV/atom
Largest piezoelectric modulus: 0.173 C/m2

Geometry as POSCAR:
```
FeCl3
1.0
6.188 0.000 0.000
-3.094 5.359 0.000
0.000 0.000 18.705
Fe Cl
6 18
direct
0.000 0.000 0.000 Fe
0.000 0.000 0.333 Fe
0.000 0.000 0.667 Fe
0.333 0.667 0.336 Fe
0.333 0.667 0.664 Fe
0.667 0.333 0.000 Fe
0.030 0.333 0.592 Cl
0.030 0.698 0.408 Cl
0.034 0.334 0.261 Cl
0.034 0.700 0.739 Cl
0.300 0.334 0.739 Cl
0.300 0.966 0.261 Cl
0.302 0.333 0.408 Cl
0.302 0.970 0.592 Cl
0.333 0.033 0.926 Cl
0.333 0.300 0.074 Cl
0.666 0.700 0.261 Cl
0.666 0.966 0.739 Cl
0.667 0.698 0.592 Cl
0.667 0.970 0.408 Cl
0.700 0.033 0.074 Cl
0.700 0.667 0.926 Cl
0.967 0.300 0.926 Cl
0.967 0.667 0.074 Cl
```

***

No. 12
## K3Ta2AsS11 (GGA-PBE)

Data for K3Ta2AsS11 after structural relaxation.

Summary:
DFT total energy: -5.372 eV per atom
Size of the total moment: 0.00 Bohr magnetons per cell
Space-group type: Cc, No. 9
Energy of formation: -1.156 eV/atom

Geometry as POSCAR:
```
K3Ta2AsS11
1.0
7.315 -6.422 0.000
7.315 6.422 0.000
-1.602 0.000 9.529
K Ta As S
6 4 2 22
direct
0.067 0.933 0.500 K
0.172 0.322 0.665 K
0.322 0.172 0.165 K
0.540 0.707 0.256 K
0.707 0.540 0.756 K
0.933 0.067 0.000 K
0.100 0.679 0.094 Ta
0.431 0.972 0.778 Ta
0.679 0.100 0.594 Ta
0.972 0.431 0.278 Ta
0.315 0.617 0.831 As
0.617 0.315 0.331 As
0.000 0.411 0.025 S
0.053 0.215 0.331 S
0.086 0.581 0.475 S
0.091 0.710 0.841 S
0.202 0.531 0.304 S
0.205 0.866 0.182 S
0.215 0.053 0.831 S
0.306 0.505 0.026 S
0.403 0.797 0.572 S
0.411 0.000 0.525 S
0.467 0.773 0.925 S
0.505 0.306 0.526 S
0.531 0.202 0.804 S
0.581 0.086 0.975 S
0.710 0.091 0.341 S
0.713 0.906 0.742 S
0.759 0.851 0.537 S
0.773 0.467 0.425 S
0.797 0.403 0.072 S
0.851 0.759 0.037 S
0.866 0.205 0.682 S
0.906 0.713 0.242 S
```